# 1
VASP calculation (GGA+U) on NaZnMoO5 after structural relaxation.

spin magnetization	4.0	μB per cell
theoretical density	3.8	g cm⁻³
crystal system	orthorhombic

a = 6.223 Å, b = 7.964 Å, c = 9.414 Å
α = 90.00°, β = 90.00°, γ = 90.00°
Fractional positions:
Na (0.156, 0.640, 0.686)
Na (0.656, 0.860, 0.186)
Na (0.656, 0.360, 0.314)
Na (0.156, 0.140, 0.814)
O (0.652, 0.688, 0.937)
O (0.158, 0.452, 0.446)
O (0.152, 0.812, 0.437)
O (0.658, 0.048, 0.946)
O (0.912, 0.107, 0.279)
O (0.151, 0.618, 0.932)
O (0.390, 0.112, 0.285)
O (0.658, 0.548, 0.554)
O (0.412, 0.393, 0.779)
O (0.651, 0.882, 0.432)
O (0.651, 0.382, 0.068)
O (0.158, 0.952, 0.054)
O (0.412, 0.893, 0.721)
O (0.890, 0.388, 0.785)
O (0.151, 0.118, 0.568)
O (0.390, 0.612, 0.215)
O (0.890, 0.888, 0.715)
O (0.912, 0.607, 0.221)
O (0.152, 0.312, 0.063)
O (0.652, 0.188, 0.563)
Zn (0.904, 0.494, 0.998)
Zn (0.404, 0.006, 0.498)
Zn (0.404, 0.506, 0.002)
Zn (0.904, 0.994, 0.502)
Mo (0.152, 0.622, 0.327)
Mo (0.152, 0.122, 0.173)
Mo (0.652, 0.378, 0.673)
Mo (0.652, 0.878, 0.827)

# 2
VASP calculation (GGA+U) on NaZn2Mo2O10 after structural relaxation.

spin magnetization	3.0	μB per cell
theoretical density	4.0	g cm⁻³
crystal system	monoclinic

a = 5.692 Å, b = 5.692 Å, c = 7.795 Å
α = 68.58°, β = 68.58°, γ = 69.08°
Fractional positions:
O (0.182, 0.729, 0.742)
O (0.833, 0.833, 0.112)
O (0.233, 0.233, 0.488)
O (0.364, 0.364, 0.053)
O (0.818, 0.271, 0.258)
O (0.767, 0.767, 0.512)
O (0.636, 0.636, 0.947)
O (0.167, 0.167, 0.888)
O (0.271, 0.818, 0.258)
O (0.729, 0.182, 0.742)
Na (0.500, 0.500, 0.500)
Zn (0.000, 0.500, 0.000)
Zn (0.500, 0.000, 0.000)
Mo (0.923, 0.923, 0.283)
Mo (0.077, 0.077, 0.717)

# 3
VASP calculation (GGA+U) on Na2ZrMo2O10 after structural relaxation.

spin magnetization	2.0	μB per cell
theoretical density	4.5	g cm⁻³
crystal system	monoclinic

a = 3.517 Å, b = 5.077 Å, c = 10.448 Å
α = 75.94°, β = 95.18°, γ = 90.00°
Fractional positions:
O (0.412, 0.831, 0.631)
O (0.045, 0.175, 0.175)
O (0.955, 0.350, 0.825)
O (0.500, 0.260, 0.000)
O (0.588, 0.169, 0.369)
O (0.500, 0.740, 0.000)
O (0.412, 0.538, 0.631)
O (0.588, 0.462, 0.369)
O (0.045, 0.650, 0.175)
O (0.955, 0.825, 0.825)
Zr (0.000, 0.000, 0.000)
Na (0.077, 0.812, 0.376)
Na (0.923, 0.188, 0.624)
Mo (0.411, 0.590, 0.820)
Mo (0.589, 0.410, 0.180)

# 4
VASP calculation (GGA+U) on Na4ZrMo4O16 after structural relaxation.

spin magnetization	0.0	μB per cell
theoretical density	3.6	g cm⁻³
crystal system	tetragonal

a = 9.923 Å, b = 9.923 Å, c = 9.923 Å
α = 111.00°, β = 111.00°, γ = 106.46°
Fractional positions:
Na (0.916, 0.756, 0.613)
Na (0.143, 0.303, 0.387)
Na (0.834, 0.494, 0.887)
Na (0.506, 0.393, 0.340)
Na (0.244, 0.857, 0.160)
Na (0.607, 0.947, 0.113)
Na (0.053, 0.166, 0.660)
Na (0.697, 0.084, 0.840)
Mo (0.823, 0.416, 0.236)
Mo (0.570, 0.663, 0.736)
Mo (0.180, 0.587, 0.764)
Mo (0.584, 0.820, 0.407)
Mo (0.337, 0.073, 0.907)
Mo (0.413, 0.177, 0.593)
Mo (0.166, 0.430, 0.093)
Mo (0.927, 0.834, 0.264)
O (0.528, 0.926, 0.305)
O (0.014, 0.050, 0.376)
O (0.362, 0.986, 0.036)
O (0.674, 0.638, 0.624)
O (0.508, 0.840, 0.553)
O (0.973, 0.778, 0.103)
O (0.130, 0.027, 0.805)
O (0.462, 0.295, 0.053)
O (0.076, 0.612, 0.876)
O (0.590, 0.538, 0.832)
O (0.355, 0.265, 0.750)
O (0.676, 0.870, 0.897)
O (0.516, 0.605, 0.250)
O (0.288, 0.955, 0.447)
O (0.242, 0.410, 0.947)
O (0.045, 0.492, 0.332)
O (0.735, 0.484, 0.090)
O (0.395, 0.985, 0.750)
O (0.736, 0.200, 0.124)
O (0.777, 0.472, 0.397)
O (0.620, 0.223, 0.695)
O (0.222, 0.324, 0.195)
O (0.074, 0.380, 0.603)
O (0.388, 0.264, 0.464)
O (0.160, 0.712, 0.668)
O (0.395, 0.645, 0.910)
O (0.355, 0.605, 0.590)
O (0.015, 0.766, 0.410)
O (0.705, 0.758, 0.168)
O (0.950, 0.326, 0.964)
O (0.234, 0.645, 0.250)
O (0.800, 0.924, 0.536)
Zr (0.250, 0.750, 0.500)
Zr (0.500, 0.500, 0.000)

# 5
VASP calculation (GGA+U) on NbMoO4 after structural relaxation.

theoretical density	5.6	g cm⁻³
crystal system	orthorhombic

a = 4.862 Å, b = 4.862 Å, c = 3.192 Å
α = 90.00°, β = 90.00°, γ = 90.87°
Fractional positions:
O (0.208, 0.208, 0.500)
O (0.792, 0.792, 0.500)
O (0.687, 0.313, 0.000)
O (0.313, 0.687, 0.000)
Mo (0.000, 0.000, 0.000)
Nb (0.500, 0.500, 0.500)

# 6
VASP calculation (GGA+U) on Nd3MoO7 after structural relaxation.

spin magnetization	4.0	μB per cell
theoretical density	6.6	g cm⁻³
crystal system	orthorhombic

a = 7.662 Å, b = 7.724 Å, c = 10.951 Å
α = 90.00°, β = 90.00°, γ = 90.00°
Fractional positions:
O (0.718, 0.061, 0.873)
O (0.003, 0.187, 0.993)
O (0.282, 0.561, 0.627)
O (0.718, 0.042, 0.119)
O (0.717, 0.564, 0.380)
O (0.503, 0.718, 0.133)
O (0.282, 0.542, 0.381)
O (0.487, 0.741, 0.868)
O (0.218, 0.458, 0.881)
O (0.003, 0.782, 0.867)
O (0.503, 0.313, 0.007)
O (0.497, 0.218, 0.367)
O (0.497, 0.813, 0.493)
O (0.217, 0.936, 0.620)
O (0.292, 0.110, 0.853)
O (0.708, 0.610, 0.647)
O (0.987, 0.759, 0.132)
O (0.997, 0.282, 0.633)
O (0.013, 0.259, 0.368)
O (0.283, 0.064, 0.120)
O (0.782, 0.939, 0.373)
O (0.997, 0.687, 0.507)
O (0.783, 0.436, 0.880)
O (0.513, 0.241, 0.632)
O (0.218, 0.439, 0.127)
O (0.792, 0.390, 0.147)
O (0.782, 0.958, 0.619)
O (0.208, 0.890, 0.353)
Mo (0.754, 0.252, 0.001)
Mo (0.254, 0.248, 0.999)
Mo (0.746, 0.748, 0.501)
Mo (0.246, 0.752, 0.499)
Nd (0.502, 0.451, 0.231)
Nd (0.239, 0.709, 0.006)
Nd (0.002, 0.537, 0.277)
Nd (0.261, 0.291, 0.506)
Nd (0.761, 0.209, 0.494)
Nd (0.739, 0.791, 0.994)
Nd (0.002, 0.049, 0.769)
Nd (0.998, 0.037, 0.223)
Nd (0.502, 0.963, 0.723)
Nd (0.998, 0.549, 0.731)
Nd (0.498, 0.951, 0.269)
Nd (0.498, 0.463, 0.777)

# 7
VASP calculation (GGA+U) on NdMoO2 after structural relaxation.

spin magnetization	12.1	μB per cell
theoretical density	7.1	g cm⁻³
crystal system	tetragonal

a = 7.633 Å, b = 7.633 Å, c = 7.633 Å
α = 129.94°, β = 129.94°, γ = 73.51°
Fractional positions:
Mo (0.875, 0.125, 0.750)
Mo (0.875, 0.625, 0.750)
Mo (0.875, 0.125, 0.250)
Mo (0.375, 0.125, 0.250)
O (0.577, 0.855, 0.277)
O (0.700, 0.423, 0.277)
O (0.577, 0.300, 0.723)
O (0.050, 0.827, 0.223)
O (0.173, 0.395, 0.223)
O (0.605, 0.827, 0.777)
O (0.173, 0.950, 0.777)
O (0.145, 0.423, 0.723)
Nd (0.875, 0.625, 0.250)
Nd (0.375, 0.125, 0.750)
Nd (0.375, 0.625, 0.250)
Nd (0.375, 0.625, 0.750)

# 8
VASP calculation (GGA+U) on Nd2Mo8O45 after structural relaxation.

spin magnetization	4.0	μB per cell
theoretical density	2.8	g cm⁻³
crystal system	triclinic

a = 9.473 Å, b = 10.788 Å, c = 10.796 Å
α = 98.21°, β = 107.18°, γ = 91.45°
Fractional positions:
O (0.878, 0.637, 0.205)
O (0.706, 0.283, 0.366)
O (0.185, 0.686, 0.263)
O (0.852, 0.964, 0.799)
O (0.995, 0.379, 0.553)
O (0.675, 0.382, 0.917)
O (0.082, 0.599, 0.720)
O (0.710, 0.549, 0.361)
O (0.060, 0.132, 0.626)
O (0.815, 0.314, 0.737)
O (0.796, 0.757, 0.529)
O (0.410, 0.520, 0.080)
O (0.645, 0.778, 0.265)
O (0.658, 0.585, 0.971)
O (0.047, 0.095, 0.234)
O (0.068, 0.456, 0.118)
O (0.207, 0.495, 0.404)
O (0.294, 0.717, 0.634)
O (0.496, 0.717, 0.454)
O (0.218, 0.958, 0.282)
O (0.932, 0.544, 0.882)
O (0.325, 0.618, 0.083)
O (0.918, 0.401, 0.280)
O (0.500, 0.500, 0.500)
O (0.290, 0.451, 0.639)
O (0.782, 0.042, 0.718)
O (0.204, 0.243, 0.471)
O (0.326, 0.896, 0.885)
O (0.005, 0.621, 0.447)
O (0.502, 0.007, 0.443)
O (0.674, 0.104, 0.115)
O (0.122, 0.363, 0.795)
O (0.355, 0.222, 0.735)
O (0.342, 0.415, 0.029)
O (0.595, 0.127, 0.010)
O (0.504, 0.283, 0.546)
O (0.665, 0.699, 0.716)
O (0.405, 0.873, 0.990)
O (0.940, 0.868, 0.374)
O (0.590, 0.480, 0.920)
O (0.498, 0.993, 0.557)
O (0.335, 0.301, 0.284)
O (0.148, 0.036, 0.201)
O (0.793, 0.505, 0.596)
O (0.953, 0.905, 0.766)
Mo (0.827, 0.735, 0.352)
Mo (0.657, 0.643, 0.557)
Mo (0.173, 0.265, 0.648)
Mo (0.057, 0.553, 0.254)
Mo (0.827, 0.414, 0.407)
Mo (0.943, 0.447, 0.746)
Mo (0.343, 0.357, 0.443)
Mo (0.173, 0.586, 0.593)
Nd (0.601, 0.207, 0.728)
Nd (0.399, 0.793, 0.272)

Number 1: E_tot -182.01 eV/cell, formation enthalpy at 0 K -14.0 eV per formula unit. Number 2: E_tot -85.48 eV/cell, formation enthalpy at 0 K -23.7 eV per formula unit. Number 3: E_tot -98.90 eV/cell, formation enthalpy at 0 K -27.6 eV per formula unit. Number 4: E_tot -340.62 eV/cell, formation enthalpy at 0 K -57.7 eV per formula unit. Number 5: E_tot -50.00 eV/cell, formation enthalpy at 0 K -15.2 eV per formula unit. Number 6: E_tot -351.08 eV/cell, formation enthalpy at 0 K -36.0 eV per formula unit. Number 7: E_tot -115.49 eV/cell, formation enthalpy at 0 K -7.9 eV per formula unit. Number 8: E_tot -347.19 eV/cell, formation enthalpy at 0 K -53.8 eV per formula unit.